The following is a GGA-PBE calculation of a relaxed HfO2 crystal, from the Materials Project database.

CIF file:
```
data_HfO2
_chemical_formula_sum 'Hf34 O68'
_cell_length_a 10.598
_cell_length_b 10.696
_cell_length_c 11.804
_cell_angle_alpha 89.86
_cell_angle_beta 87.03
_cell_angle_gamma 84.51
_space_group_name_H-M_alt 'P 1'
_space_group_IT_number 1
_space_group_name_Hall 'P 1'
loop_
_atom_site_label
_atom_site_type_symbol
_atom_site_fract_x
_atom_site_fract_y
_atom_site_fract_z
Hf1 Hf 0.000 0.000 0.000
Hf2 Hf 0.004 0.025 0.320
Hf3 Hf 0.024 0.287 0.208
Hf4 Hf 0.053 0.739 0.168
Hf5 Hf 0.088 0.659 0.569
Hf6 Hf 0.101 0.443 0.742
Hf7 Hf 0.129 0.884 0.709
Hf8 Hf 0.177 0.407 0.416
Hf9 Hf 0.193 0.486 0.038
Hf10 Hf 0.240 0.067 0.477
Hf11 Hf 0.313 0.861 0.971
Hf12 Hf 0.321 0.141 0.752
Hf13 Hf 0.325 0.618 0.279
Hf14 Hf 0.355 0.614 0.821
Hf15 Hf 0.357 0.915 0.254
Hf16 Hf 0.386 0.642 0.555
Hf17 Hf 0.394 0.317 0.207
Hf18 Hf 0.429 0.135 0.995
Hf19 Hf 0.470 0.291 0.477
Hf20 Hf 0.516 0.614 0.041
Hf21 Hf 0.608 0.158 0.702
Hf22 Hf 0.610 0.722 0.290
Hf23 Hf 0.618 0.809 0.771
Hf24 Hf 0.638 0.036 0.351
Hf25 Hf 0.676 0.498 0.603
Hf26 Hf 0.707 0.911 0.073
Hf27 Hf 0.714 0.458 0.864
Hf28 Hf 0.728 0.221 0.080
Hf29 Hf 0.821 0.528 0.111
Hf30 Hf 0.830 0.825 0.500
Hf31 Hf 0.850 0.533 0.382
Hf32 Hf 0.864 0.189 0.516
Hf33 Hf 0.906 0.217 0.784
Hf34 Hf 0.930 0.723 0.896
O1 O 0.011 0.419 0.344
O2 O 0.011 0.885 0.849
O3 O 0.024 0.106 0.150
O4 O 0.029 0.124 0.878
O5 O 0.032 0.407 0.077
O6 O 0.032 0.644 0.745
O7 O 0.051 0.057 0.484
O8 O 0.054 0.640 0.011
O9 O 0.086 0.462 0.571
O10 O 0.144 0.870 0.056
O11 O 0.173 0.571 0.198
O12 O 0.195 0.278 0.759
O13 O 0.199 0.030 0.313
O14 O 0.208 0.295 0.262
O15 O 0.220 0.491 0.869
O16 O 0.223 0.787 0.265
O17 O 0.225 0.592 0.439
O18 O 0.232 0.024 0.651
O19 O 0.234 0.777 0.583
O20 O 0.259 0.795 0.816
O21 O 0.271 0.249 0.482
O22 O 0.278 0.552 0.669
O23 O 0.306 0.300 0.054
O24 O 0.307 0.034 0.895
O25 O 0.318 0.648 0.999
O26 O 0.354 0.992 0.101
O27 O 0.372 0.422 0.358
O28 O 0.410 0.982 0.410
O29 O 0.420 0.494 0.153
O30 O 0.438 0.198 0.623
O31 O 0.446 0.729 0.185
O32 O 0.454 0.688 0.394
O33 O 0.472 0.205 0.840
O34 O 0.481 0.690 0.685
O35 O 0.491 0.770 0.921
O36 O 0.502 0.201 0.325
O37 O 0.506 0.464 0.541
O38 O 0.517 0.524 0.881
O39 O 0.539 0.234 0.101
O40 O 0.546 0.987 0.738
O41 O 0.565 0.917 0.225
O42 O 0.579 0.011 0.992
O43 O 0.643 0.185 0.507
O44 O 0.657 0.466 0.044
O45 O 0.673 0.349 0.717
O46 O 0.677 0.711 0.112
O47 O 0.688 0.847 0.385
O48 O 0.701 0.546 0.275
O49 O 0.715 0.595 0.740
O50 O 0.719 0.634 0.488
O51 O 0.726 0.833 0.635
O52 O 0.729 0.074 0.209
O53 O 0.750 0.818 0.888
O54 O 0.761 0.271 0.914
O55 O 0.795 0.113 0.685
O56 O 0.802 0.391 0.497
O57 O 0.815 0.058 0.011
O58 O 0.821 0.013 0.438
O59 O 0.830 0.337 0.163
O60 O 0.832 0.572 0.945
O61 O 0.903 0.835 0.055
O62 O 0.913 0.622 0.225
O63 O 0.926 0.205 0.346
O64 O 0.929 0.402 0.801
O65 O 0.952 0.664 0.456
O66 O 0.961 0.858 0.282
O67 O 0.979 0.241 0.628
O68 O 0.993 0.837 0.602
```

***

The following is a GGA-PBE calculation of a relaxed K5Bi4 crystal, from the Materials Project database.

CIF file:
```
data_K5Bi4
_chemical_formula_sum 'K10 Bi8'
_cell_length_a 12.797
_cell_length_b 5.678
_cell_length_c 11.721
_cell_angle_alpha 90.00
_cell_angle_beta 111.16
_cell_angle_gamma 90.00
_space_group_name_H-M_alt 'C 1 m 1'
_space_group_IT_number 8
_space_group_name_Hall 'C -2y'
loop_
_atom_site_label
_atom_site_type_symbol
_atom_site_fract_x
_atom_site_fract_y
_atom_site_fract_z
K1 K 0.000 0.000 0.000
K2 K 0.013 0.500 0.333
K3 K 0.164 0.500 0.780
K4 K 0.252 0.500 0.162
K5 K 0.353 0.500 0.554
Bi1 Bi 0.148 0.000 0.559
Bi2 Bi 0.215 0.000 0.338
Bi3 Bi 0.302 0.000 0.998
Bi4 Bi 0.368 0.000 0.776
```

***

The following is a GGA-PBE calculation of a relaxed Li2CuSn crystal, from the Materials Project database.

CIF file:
```
data_Li2CuSn
_chemical_formula_sum 'Li8 Cu4 Sn4'
_cell_length_a 6.291
_cell_length_b 6.291
_cell_length_c 6.291
_cell_angle_alpha 90.00
_cell_angle_beta 90.00
_cell_angle_gamma 90.00
_space_group_name_H-M_alt 'F -4 3 m'
_space_group_IT_number 216
_space_group_name_Hall 'F -4 2 3'
loop_
_atom_site_label
_atom_site_type_symbol
_atom_site_fract_x
_atom_site_fract_y
_atom_site_fract_z
Li1 Li 0.000 0.000 0.000
Li2 Li 0.250 0.250 0.250
Cu1 Cu 0.000 0.000 0.500
Sn1 Sn 0.250 0.250 0.750
```

***

no.,formation energy from the elements (eV/atom)
1,-3.810
2,-0.351
3,-0.326